Material: Li3V5P6O24
Method: DFT, PBE with a Hubbard U
State: relaxed

Lattice parameters (Å, degrees): 15.852 15.852 10.874 90.28 90.28 156.49
Positions (direct):
Li1 0.029 0.971 0.750
Li2 0.198 0.458 0.925
Li3 0.458 0.198 0.425
Li4 0.542 0.802 0.575
Li5 0.802 0.542 0.075
Li6 0.971 0.029 0.250
V1 0.000 0.500 0.500
V2 0.188 0.812 0.750
V3 0.192 0.808 0.250
V4 0.206 0.306 0.576
V5 0.306 0.206 0.076
V6 0.500 0.000 0.000
V7 0.694 0.794 0.924
V8 0.794 0.694 0.424
V9 0.808 0.192 0.750
V10 0.812 0.188 0.250
P1 0.009 0.713 0.498
P2 0.205 0.264 0.874
P3 0.264 0.205 0.374
P4 0.281 0.719 0.250
P5 0.281 0.719 0.750
P6 0.287 0.991 0.002
P7 0.713 0.009 0.998
P8 0.719 0.281 0.250
P9 0.719 0.281 0.750
P10 0.736 0.795 0.626
P11 0.795 0.736 0.126
P12 0.991 0.287 0.502
O1 0.002 0.117 0.923
O2 0.095 0.470 0.500
O3 0.114 0.832 0.622
O4 0.116 0.499 0.223
O5 0.117 0.002 0.423
O6 0.126 0.505 0.775
O7 0.126 0.822 0.105
O8 0.168 0.886 0.878
O9 0.178 0.874 0.395
O10 0.180 0.401 0.535
O11 0.197 0.237 0.733
O12 0.205 0.240 0.425
O13 0.210 0.717 0.642
O14 0.211 0.717 0.357
O15 0.237 0.197 0.233
O16 0.240 0.205 0.925
O17 0.283 0.789 0.143
O18 0.283 0.790 0.858
O19 0.380 0.488 0.907
O20 0.401 0.180 0.035
O21 0.470 0.095 0.000
O22 0.488 0.380 0.407
O23 0.495 0.874 0.725
O24 0.499 0.116 0.723
O25 0.501 0.884 0.277
O26 0.505 0.126 0.275
O27 0.512 0.620 0.593
O28 0.530 0.905 0.000
O29 0.599 0.820 0.965
O30 0.620 0.512 0.093
O31 0.717 0.210 0.142
O32 0.717 0.211 0.857
O33 0.760 0.795 0.075
O34 0.763 0.803 0.767
O35 0.789 0.283 0.643
O36 0.790 0.283 0.358
O37 0.795 0.760 0.575
O38 0.803 0.763 0.267
O39 0.820 0.599 0.465
O40 0.822 0.126 0.605
O41 0.832 0.114 0.122
O42 0.874 0.178 0.895
O43 0.874 0.495 0.225
O44 0.883 0.998 0.577
O45 0.884 0.501 0.777
O46 0.886 0.168 0.378
O47 0.905 0.530 0.500
O48 0.998 0.883 0.077

Results
V in Å³ per atom: 14.3
Mass density in g/cm3: 2.58
Size of the total moment in μB per atom: 0.263
Symmetry: C2/c (15)
Energy of formation in meV/atom: -2660
Raw total energy in eV/atom: -7.33

---

Material: LiVP2O7
Method: DFT, PBE with a Hubbard U
State: relaxed

Lattice parameters (Å, degrees): 7.095 10.239 8.097 90.00 111.69 90.00
Positions (direct):
Li1 0.130 0.150 0.061
Li2 0.130 0.350 0.561
Li3 0.870 0.650 0.439
Li4 0.870 0.850 0.939
V1 0.231 0.606 0.257
V2 0.231 0.894 0.757
V3 0.769 0.106 0.243
V4 0.769 0.394 0.743
P1 0.138 0.594 0.814
P2 0.138 0.906 0.314
P3 0.471 0.649 0.706
P4 0.471 0.851 0.206
P5 0.529 0.149 0.794
P6 0.529 0.351 0.294
P7 0.862 0.094 0.686
P8 0.862 0.406 0.186
O1 0.026 0.025 0.206
O2 0.026 0.475 0.706
O3 0.059 0.721 0.706
O4 0.059 0.779 0.206
O5 0.128 0.602 0.995
O6 0.128 0.898 0.495
O7 0.320 0.628 0.517
O8 0.320 0.872 0.017
O9 0.329 0.078 0.760
O10 0.329 0.422 0.260
O11 0.372 0.576 0.834
O12 0.372 0.924 0.334
O13 0.499 0.207 0.236
O14 0.499 0.293 0.736
O15 0.501 0.707 0.264
O16 0.501 0.793 0.764
O17 0.628 0.076 0.666
O18 0.628 0.424 0.166
O19 0.671 0.578 0.740
O20 0.671 0.922 0.240
O21 0.680 0.128 0.983
O22 0.680 0.372 0.483
O23 0.872 0.102 0.505
O24 0.872 0.398 0.005
O25 0.941 0.221 0.794
O26 0.941 0.279 0.294
O27 0.974 0.525 0.294
O28 0.974 0.975 0.794

Results
V in Å³ per atom: 12.4
Mass density in g/cm3: 2.82
Size of the total moment in μB per atom: 0.182
Symmetry: P2_1/c (14)
Energy of formation in meV/atom: -2675
Raw total energy in eV/atom: -7.22

---

Material: Li7V3P8O29
Method: DFT, PBE with a Hubbard U
State: relaxed

Lattice parameters (Å, degrees): 9.852 9.867 13.883 89.71 89.84 60.12
Positions (direct):
Li1 0.000 0.000 0.000
Li2 0.000 0.132 0.501
Li3 0.097 0.223 0.126
Li4 0.097 0.814 0.626
Li5 0.234 0.222 0.624
Li6 0.235 0.675 0.125
Li7 0.419 0.583 0.502
Li8 0.421 0.131 0.002
Li9 0.551 0.582 0.004
Li10 0.552 0.003 0.503
Li11 0.636 0.682 0.625
Li12 0.637 0.815 0.125
Li13 0.986 0.579 0.944
Li14 0.988 0.568 0.445
V1 0.325 0.334 0.811
V2 0.326 0.470 0.313
V3 0.754 0.906 0.311
V4 0.755 0.469 0.813
V5 0.891 0.336 0.312
V6 0.892 0.905 0.812
P1 0.004 0.138 0.719
P2 0.006 0.989 0.220
P3 0.092 0.227 0.904
P4 0.092 0.813 0.406
P5 0.234 0.225 0.406
P6 0.234 0.671 0.906
P7 0.410 0.139 0.221
P8 0.410 0.585 0.721
P9 0.556 0.584 0.220
P10 0.557 0.993 0.721
P11 0.644 0.813 0.906
P12 0.646 0.674 0.404
P13 0.655 0.236 0.437
P14 0.657 0.238 0.937
P15 0.991 0.568 0.688
P16 0.992 0.572 0.188
O1 0.000 0.419 0.224
O2 0.075 0.234 0.408
O3 0.075 0.821 0.908
O4 0.077 0.907 0.495
O5 0.079 0.897 0.130
O6 0.080 0.148 0.994
O7 0.082 0.153 0.629
O8 0.112 0.121 0.812
O9 0.112 0.899 0.312
O10 0.137 0.414 0.727
O11 0.140 0.577 0.230
O12 0.209 0.392 0.388
O13 0.210 0.529 0.888
O14 0.241 0.651 0.408
O15 0.242 0.242 0.905
O16 0.321 0.662 0.630
O17 0.322 0.148 0.131
O18 0.323 0.118 0.314
O19 0.323 0.690 0.813
O20 0.330 0.150 0.495
O21 0.330 0.651 0.995
O22 0.403 0.155 0.724
O23 0.403 0.577 0.223
O24 0.420 0.425 0.739
O25 0.423 0.287 0.235
O26 0.504 0.391 0.393
O27 0.511 0.233 0.895
O28 0.537 0.902 0.813
O29 0.539 0.692 0.313
O30 0.561 0.906 0.631
O31 0.563 0.667 0.131
O32 0.564 0.666 0.494
O33 0.564 0.906 0.995
O34 0.573 0.570 0.720
O35 0.573 0.989 0.221
O36 0.638 0.244 0.544
O37 0.646 0.253 0.044
O38 0.647 0.092 0.395
O39 0.652 0.652 0.906
O40 0.655 0.391 0.893
O41 0.656 0.827 0.402
O42 0.699 0.011 0.736
O43 0.699 0.424 0.236
O44 0.806 0.231 0.400
O45 0.810 0.094 0.901
O46 0.810 0.786 0.891
O47 0.812 0.535 0.392
O48 0.837 0.573 0.730
O49 0.838 0.719 0.226
O50 0.844 0.285 0.736
O51 0.845 0.000 0.241
O52 0.949 0.393 0.889
O53 0.949 0.790 0.389
O54 0.988 0.563 0.579
O55 0.993 0.149 0.218
O56 0.995 0.578 0.079
O57 0.995 0.988 0.719
O58 0.998 0.713 0.723

Results
V in Å³ per atom: 12.4
Relative energy among the computed polymorphs in meV per atom: 2
Mass density in g/cm3: 2.59
Size of the total moment in μB per atom: 0.085
Symmetry: P1 (1)
Energy of formation in meV/atom: -2691
Raw total energy in eV/atom: -7.00

---

Material: LiVP2O8
Method: DFT, PBE with a Hubbard U
State: relaxed

Lattice parameters (Å, degrees): 7.241 8.428 8.442 119.87 90.25 90.39
Positions (direct):
Li1 0.000 0.000 0.000
Li2 0.004 0.329 0.657
Li3 0.994 0.656 0.322
V1 0.424 0.994 0.995
V2 0.497 0.328 0.661
V3 0.570 0.661 0.328
P1 0.267 0.644 0.622
P2 0.268 0.363 0.014
P3 0.268 0.970 0.340
P4 0.726 0.293 0.309
P5 0.726 0.686 0.982
P6 0.727 0.011 0.700
O1 0.088 0.584 0.521
O2 0.092 0.468 0.057
O3 0.092 0.922 0.400
O4 0.257 0.949 0.147
O5 0.258 0.191 0.038
O6 0.263 0.840 0.793
O7 0.335 0.288 0.813
O8 0.335 0.518 0.698
O9 0.336 0.172 0.468
O10 0.427 0.636 0.493
O11 0.432 0.489 0.134
O12 0.432 0.851 0.345
O13 0.562 0.166 0.189
O14 0.562 0.805 0.977
O15 0.567 0.020 0.829
O16 0.657 0.484 0.854
O17 0.658 0.137 0.625
O18 0.658 0.368 0.510
O19 0.731 0.816 0.529
O20 0.736 0.465 0.285
O21 0.737 0.706 0.176
O22 0.901 0.733 0.922
O23 0.902 0.188 0.266
O24 0.906 0.071 0.802

Results
V in Å³ per atom: 12.4
Relative energy among the computed polymorphs in meV per atom: 54
Mass density in g/cm3: 2.76
Size of the total moment in μB per atom: 0.000
Symmetry: P1 (1)
Energy of formation in meV/atom: -2498
Raw total energy in eV/atom: -7.01

---

Material: Li5V3P8O29
Method: DFT, PBE with a Hubbard U
State: relaxed

Lattice parameters (Å, degrees): 9.802 9.802 13.927 90.06 90.06 59.98
Positions (direct):
Li1 0.067 0.933 0.500
Li2 0.159 0.744 0.119
Li3 0.164 0.609 0.621
Li4 0.517 0.932 0.999
Li5 0.609 0.164 0.121
Li6 0.610 0.748 0.620
Li7 0.744 0.159 0.619
Li8 0.748 0.610 0.120
Li9 0.932 0.517 0.499
Li10 0.933 0.067 0.000
V1 0.268 0.405 0.814
V2 0.273 0.838 0.311
V3 0.405 0.268 0.314
V4 0.408 0.838 0.808
V5 0.838 0.273 0.811
V6 0.838 0.408 0.308
P1 0.069 0.927 0.717
P2 0.072 0.521 0.217
P3 0.155 0.609 0.403
P4 0.160 0.751 0.901
P5 0.170 0.173 0.434
P6 0.173 0.170 0.934
P7 0.504 0.504 0.187
P8 0.504 0.504 0.687
P9 0.519 0.927 0.219
P10 0.521 0.072 0.717
P11 0.608 0.751 0.403
P12 0.609 0.155 0.903
P13 0.751 0.160 0.401
P14 0.751 0.608 0.903
P15 0.927 0.069 0.217
P16 0.927 0.519 0.719
O1 0.025 0.166 0.893
O2 0.026 0.326 0.393
O3 0.046 0.627 0.313
O4 0.048 0.840 0.810
O5 0.080 0.837 0.991
O6 0.081 0.838 0.628
O7 0.082 0.592 0.494
O8 0.083 0.603 0.131
O9 0.093 0.503 0.721
O10 0.093 0.921 0.220
O11 0.166 0.025 0.393
O12 0.171 0.321 0.886
O13 0.173 0.756 0.403
O14 0.174 0.175 0.040
O15 0.175 0.174 0.540
O16 0.179 0.584 0.896
O17 0.220 0.937 0.737
O18 0.223 0.360 0.238
O19 0.317 0.457 0.384
O20 0.318 0.741 0.885
O21 0.321 0.171 0.386
O22 0.326 0.026 0.893
O23 0.350 0.510 0.730
O24 0.351 0.654 0.230
O25 0.359 0.940 0.236
O26 0.360 0.223 0.738
O27 0.457 0.317 0.884
O28 0.461 0.737 0.384
O29 0.501 0.925 0.718
O30 0.502 0.506 0.081
O31 0.503 0.093 0.221
O32 0.506 0.502 0.581
O33 0.510 0.350 0.230
O34 0.512 0.651 0.728
O35 0.584 0.179 0.396
O36 0.584 0.757 0.899
O37 0.592 0.082 0.994
O38 0.599 0.840 0.128
O39 0.600 0.833 0.495
O40 0.603 0.083 0.631
O41 0.627 0.046 0.813
O42 0.630 0.839 0.311
O43 0.651 0.512 0.228
O44 0.654 0.351 0.730
O45 0.737 0.461 0.884
O46 0.741 0.318 0.385
O47 0.756 0.173 0.903
O48 0.757 0.584 0.399
O49 0.833 0.600 0.995
O50 0.837 0.080 0.491
O51 0.838 0.081 0.128
O52 0.839 0.630 0.811
O53 0.840 0.048 0.310
O54 0.840 0.599 0.628
O55 0.921 0.093 0.720
O56 0.925 0.501 0.218
O57 0.937 0.220 0.237
O58 0.940 0.359 0.736

Results
V in Å³ per atom: 12.9
Relative energy among the computed polymorphs in meV per atom: 4
Mass density in g/cm3: 2.58
Size of the total moment in μB per atom: 0.044
Symmetry: Cc (9)
Energy of formation in meV/atom: -2617
Raw total energy in eV/atom: -7.03